Computed, not measured: a relaxed TbIn2Ni crystal at the PBE level of DFT.

Summary:
Space group ... Cmcm, No. 63
Volume ... 84.4 Å³/f.u.
Energy of formation ... -431 meV per atom

Unit cell a=4.342 b=10.455 c=7.437 alpha=90.00 beta=90.00 gamma=90.00
Sites, in units of the cell vectors:
Tb  0.000  0.071  0.250
Tb  0.000  0.929  0.750
Tb  0.500  0.429  0.750
Tb  0.500  0.571  0.250
In  0.000  0.359  0.052
In  0.000  0.359  0.448
In  0.000  0.641  0.552
In  0.000  0.641  0.948
In  0.500  0.141  0.552
In  0.500  0.141  0.948
In  0.500  0.859  0.052
In  0.500  0.859  0.448
Ni  0.000  0.216  0.750
Ni  0.000  0.784  0.250
Ni  0.500  0.284  0.250
Ni  0.500  0.716  0.750

Computed, not measured: a relaxed Re2PbCN2O10 crystal at the PBE level of DFT.

Summary:
Space group ... P2_1/c, No. 14
Volume ... 351.1 Å³/f.u.
Energy of formation ... -931 meV per atom

Unit cell a=11.365 b=8.918 c=14.143 alpha=90.00 beta=101.56 gamma=90.00
Sites, in units of the cell vectors:
Re  0.039  0.232  0.097
Re  0.039  0.268  0.597
Re  0.460  0.147  0.275
Re  0.460  0.353  0.775
Re  0.540  0.647  0.225
Re  0.540  0.853  0.725
Re  0.961  0.732  0.403
Re  0.961  0.768  0.903
Pb  0.270  0.566  0.543
Pb  0.270  0.934  0.043
Pb  0.730  0.066  0.957
Pb  0.730  0.434  0.457
C  0.291  0.171  0.876
C  0.291  0.329  0.376
C  0.709  0.671  0.624
C  0.709  0.829  0.124
N  0.182  0.108  0.836
N  0.182  0.392  0.336
N  0.337  0.229  0.324
N  0.337  0.271  0.824
N  0.663  0.729  0.176
N  0.663  0.771  0.676
N  0.818  0.608  0.664
N  0.818  0.892  0.164
O  0.057  0.168  0.214
O  0.057  0.332  0.714
O  0.087  0.084  0.601
O  0.087  0.416  0.101
O  0.115  0.723  0.460
O  0.115  0.777  0.960
O  0.128  0.119  0.033
O  0.128  0.381  0.533
O  0.216  0.680  0.657
O  0.216  0.820  0.157
O  0.345  0.128  0.961
O  0.345  0.372  0.461
O  0.382  0.683  0.467
O  0.382  0.817  0.967
O  0.403  0.066  0.160
O  0.403  0.434  0.660
O  0.439  0.714  0.739
O  0.439  0.786  0.239
O  0.461  0.518  0.146
O  0.461  0.982  0.646
O  0.539  0.018  0.354
O  0.539  0.482  0.854
O  0.561  0.214  0.761
O  0.561  0.286  0.261
O  0.597  0.566  0.340
O  0.597  0.934  0.840
O  0.618  0.183  0.033
O  0.618  0.317  0.533
O  0.655  0.628  0.539
O  0.655  0.872  0.039
O  0.784  0.180  0.843
O  0.784  0.320  0.343
O  0.872  0.619  0.467
O  0.872  0.881  0.967
O  0.885  0.223  0.040
O  0.885  0.277  0.540
O  0.913  0.584  0.899
O  0.913  0.916  0.399
O  0.943  0.668  0.286
O  0.943  0.832  0.786

Computed, not measured: a relaxed SmAsRuO crystal at the PBE level of DFT.

Summary:
Space group ... P4/nmm, No. 129
Volume ... 69.2 Å³/f.u.
Energy of formation ... -2035 meV per atom

Unit cell a=4.118 b=4.118 c=8.155 alpha=90.00 beta=90.00 gamma=90.00
Sites, in units of the cell vectors:
Sm  0.250  0.250  0.135
Sm  0.750  0.750  0.865
As  0.250  0.250  0.661
As  0.750  0.750  0.339
Ru  0.250  0.750  0.500
Ru  0.750  0.250  0.500
O  0.250  0.750  0.000
O  0.750  0.250  0.000

Computed, not measured: a relaxed Mg2Si crystal at the PBE level of DFT.

Summary:
Space group ... P-1, No. 2
Volume ... 61.6 Å³/f.u.
Energy of formation ... 36 meV per atom

Unit cell a=5.425 b=6.264 c=7.688 alpha=88.59 beta=70.61 gamma=89.25
Sites, in units of the cell vectors:
Mg  0.194  0.123  0.122
Mg  0.201  0.624  0.082
Mg  0.229  0.131  0.517
Mg  0.229  0.625  0.554
Mg  0.771  0.375  0.446
Mg  0.771  0.869  0.483
Mg  0.799  0.376  0.918
Mg  0.806  0.877  0.878
Si  0.351  0.928  0.790
Si  0.372  0.326  0.785
Si  0.628  0.674  0.215
Si  0.649  0.072  0.210

Computed, not measured: a relaxed Ca4Rh crystal at the PBE level of DFT.

Summary:
Space group ... Fd-3m, No. 227
Volume ... 191.1 Å³/f.u.
Energy of formation ... 67 meV per atom

Unit cell a=8.145 b=8.145 c=8.145 alpha=60.00 beta=60.00 gamma=60.00
Sites, in units of the cell vectors:
Ca  0.233  0.756  0.756
Ca  0.244  0.244  0.244
Ca  0.244  0.244  0.767
Ca  0.244  0.767  0.244
Ca  0.756  0.233  0.756
Ca  0.756  0.756  0.233
Ca  0.756  0.756  0.756
Ca  0.767  0.244  0.244
Rh  0.375  0.375  0.375
Rh  0.625  0.625  0.625

Computed, not measured: a relaxed Ba4Pd3BrO6 crystal at the PBE level of DFT.

Summary:
Space group ... Im-3m, No. 229
Volume ... 276.2 Å³/f.u.
Energy of formation ... -1907 meV per atom

Unit cell a=7.106 b=7.106 c=7.106 alpha=109.47 beta=109.47 gamma=109.47
Sites, in units of the cell vectors:
Ba  0.000  0.000  0.500
Ba  0.000  0.500  0.000
Ba  0.500  0.000  0.000
Ba  0.500  0.500  0.500
Pd  0.000  0.500  0.500
Pd  0.500  0.000  0.500
Pd  0.500  0.500  0.000
Br  0.000  0.000  0.000
O  0.250  0.500  0.750
O  0.250  0.750  0.500
O  0.500  0.250  0.750
O  0.500  0.750  0.250
O  0.750  0.250  0.500
O  0.750  0.500  0.250

Computed, not measured: a relaxed Na8Zr3ZnSi5SO24 crystal at the PBE level of DFT.

Summary:
Space group ... P1, No. 1
Volume ... 568.1 Å³/f.u.
Energy of formation ... -2857 meV per atom

Unit cell a=9.296 b=9.297 c=22.763 alpha=89.59 beta=89.85 gamma=60.03
Sites, in units of the cell vectors:
Na  0.000  0.000  0.000
Na  0.003  0.330  0.171
Na  0.009  0.947  0.668
Na  0.261  0.683  0.164
Na  0.274  0.314  0.668
Na  0.306  0.967  0.086
Na  0.307  0.981  0.579
Na  0.309  0.328  0.343
Na  0.318  0.617  0.835
Na  0.336  0.280  0.994
Na  0.339  0.663  0.505
Na  0.582  0.666  0.996
Na  0.591  0.015  0.500
Na  0.633  0.321  0.913
Na  0.640  0.682  0.668
Na  0.649  0.304  0.426
Na  0.656  0.933  0.171
Na  0.666  0.984  0.833
Na  0.681  0.615  0.337
Na  0.939  0.989  0.346
Na  0.943  0.339  0.833
Na  0.967  0.646  0.248
Na  0.973  0.647  0.748
Na  0.988  0.264  0.500
Zr  0.309  0.979  0.736
Zr  0.310  0.990  0.234
Zr  0.633  0.322  0.072
Zr  0.640  0.314  0.771
Zr  0.642  0.313  0.568
Zr  0.649  0.307  0.270
Zr  0.967  0.646  0.405
Zr  0.972  0.649  0.604
Zr  0.988  0.643  0.898
Zn  0.302  0.003  0.442
Zn  0.306  0.967  0.922
Zn  0.988  0.652  0.111
Si  0.010  0.986  0.840
Si  0.013  0.275  0.339
Si  0.270  0.354  0.504
Si  0.270  0.650  0.007
Si  0.311  0.267  0.841
Si  0.344  0.317  0.171
Si  0.345  0.610  0.670
Si  0.602  0.981  0.339
Si  0.605  0.683  0.840
Si  0.641  0.018  0.671
Si  0.642  0.613  0.170
Si  0.672  0.650  0.504
Si  0.937  0.314  0.671
Si  0.939  0.017  0.168
Si  0.977  0.943  0.502
S  0.309  0.686  0.337
S  0.682  0.941  0.006
S  0.972  0.355  0.006
O  0.001  0.460  0.340
O  0.081  0.024  0.899
O  0.090  0.156  0.396
O  0.121  0.147  0.677
O  0.121  0.189  0.002
O  0.123  0.000  0.175
O  0.128  0.184  0.279
O  0.133  0.948  0.783
O  0.140  0.456  0.844
O  0.143  0.957  0.500
O  0.153  0.450  0.561
O  0.156  0.670  0.339
O  0.157  0.674  0.064
O  0.159  0.476  0.168
O  0.160  0.628  0.667
O  0.178  0.621  0.949
O  0.182  0.470  0.444
O  0.278  0.184  0.783
O  0.285  0.173  0.504
O  0.287  0.789  0.283
O  0.293  0.814  0.002
O  0.329  0.794  0.676
O  0.334  0.759  0.390
O  0.335  0.143  0.174
O  0.340  0.158  0.900
O  0.432  0.494  0.729
O  0.438  0.341  0.228
O  0.453  0.342  0.507
O  0.457  0.516  0.331
O  0.459  0.473  0.007
O  0.464  0.521  0.613
O  0.465  0.283  0.113
O  0.469  0.793  0.175
O  0.471  0.296  0.834
O  0.474  0.002  0.676
O  0.487  0.014  0.396
O  0.491  0.813  0.499
O  0.495  0.755  0.899
O  0.512  0.968  0.001
O  0.516  0.950  0.280
O  0.518  0.805  0.783
O  0.609  0.522  0.113
O  0.611  0.137  0.614
O  0.623  0.149  0.332
O  0.628  0.496  0.832
O  0.665  0.477  0.507
O  0.668  0.495  0.228
O  0.669  0.106  0.729
O  0.674  0.109  0.007
O  0.762  0.842  0.059
O  0.767  0.673  0.561
O  0.784  0.858  0.952
O  0.791  0.664  0.846
O  0.792  0.815  0.340
O  0.794  0.618  0.446
O  0.805  0.126  0.507
O  0.806  0.631  0.163
O  0.808  0.834  0.667
O  0.818  0.338  0.007
O  0.820  0.114  0.226
O  0.820  0.342  0.729
O  0.821  0.307  0.332
O  0.823  0.146  0.832
O  0.848  0.284  0.614
O  0.850  0.138  0.110
O  0.947  0.853  0.444
O  0.949  0.459  0.952
O  0.949  0.838  0.168
O  0.954  0.481  0.667
O  0.984  0.439  0.059
O  0.990  0.817  0.845
O  0.997  0.828  0.561

Computed, not measured: a relaxed Sr3Zr2N4 crystal at the PBE level of DFT.

Summary:
Space group ... Pnna, No. 52
Volume ... 195.1 Å³/f.u.
Energy of formation ... -1083 meV per atom

Unit cell a=7.343 b=10.380 c=10.238 alpha=90.00 beta=90.00 gamma=90.00
Sites, in units of the cell vectors:
Sr  0.002  0.174  0.060
Sr  0.002  0.326  0.440
Sr  0.250  0.000  0.340
Sr  0.250  0.500  0.160
Sr  0.498  0.674  0.440
Sr  0.498  0.826  0.060
Sr  0.502  0.174  0.940
Sr  0.502  0.326  0.560
Sr  0.750  0.000  0.660
Sr  0.750  0.500  0.840
Sr  0.998  0.674  0.560
Sr  0.998  0.826  0.940
Zr  0.054  0.250  0.750
Zr  0.250  0.000  0.698
Zr  0.250  0.500  0.802
Zr  0.446  0.750  0.750
Zr  0.554  0.250  0.250
Zr  0.750  0.000  0.302
Zr  0.750  0.500  0.198
Zr  0.946  0.750  0.250
N  0.024  0.046  0.815
N  0.024  0.454  0.685
N  0.220  0.178  0.599
N  0.220  0.322  0.901
N  0.280  0.678  0.901
N  0.280  0.822  0.599
N  0.476  0.546  0.685
N  0.476  0.954  0.815
N  0.524  0.046  0.185
N  0.524  0.454  0.315
N  0.720  0.178  0.401
N  0.720  0.322  0.099
N  0.780  0.678  0.099
N  0.780  0.822  0.401
N  0.976  0.546  0.315
N  0.976  0.954  0.185

Computed, not measured: a relaxed Ta27S50 crystal at the PBE level of DFT.

Summary:
Space group ... P1, No. 1
Volume ... 1502.4 Å³/f.u.
Energy of formation ... -1398 meV per atom

Unit cell a=10.451 b=10.466 c=14.580 alpha=100.60 beta=90.08 gamma=106.28
Sites, in units of the cell vectors:
Ta  0.000  0.000  0.000
Ta  0.007  0.446  0.166
Ta  0.035  0.962  0.601
Ta  0.074  0.918  0.199
Ta  0.126  0.889  0.803
Ta  0.155  0.838  0.404
Ta  0.193  0.800  0.005
Ta  0.246  0.769  0.603
Ta  0.271  0.717  0.202
Ta  0.324  0.689  0.803
Ta  0.353  0.640  0.405
Ta  0.394  0.596  0.001
Ta  0.437  0.560  0.601
Ta  0.448  0.005  0.767
Ta  0.476  0.517  0.198
Ta  0.512  0.479  0.800
Ta  0.558  0.439  0.402
Ta  0.594  0.400  0.002
Ta  0.632  0.357  0.601
Ta  0.685  0.329  0.202
Ta  0.713  0.278  0.802
Ta  0.756  0.241  0.405
Ta  0.801  0.208  0.004
Ta  0.833  0.156  0.602
Ta  0.884  0.130  0.203
Ta  0.917  0.078  0.800
Ta  0.954  0.042  0.403
S  0.015  0.746  0.654
S  0.028  0.235  0.081
S  0.038  0.693  0.251
S  0.050  0.195  0.684
S  0.092  0.667  0.850
S  0.097  0.153  0.286
S  0.126  0.622  0.457
S  0.135  0.119  0.885
S  0.158  0.573  0.051
S  0.173  0.073  0.483
S  0.210  0.550  0.654
S  0.214  0.033  0.087
S  0.239  0.494  0.251
S  0.256  0.010  0.682
S  0.285  0.464  0.850
S  0.289  0.948  0.285
S  0.326  0.419  0.452
S  0.341  0.923  0.898
S  0.364  0.375  0.050
S  0.376  0.876  0.483
S  0.401  0.339  0.650
S  0.410  0.828  0.087
S  0.452  0.301  0.251
S  0.471  0.796  0.682
S  0.480  0.253  0.851
S  0.487  0.748  0.284
S  0.524  0.218  0.450
S  0.537  0.713  0.887
S  0.572  0.183  0.055
S  0.573  0.673  0.483
S  0.598  0.132  0.653
S  0.611  0.634  0.084
S  0.653  0.108  0.251
S  0.654  0.590  0.685
S  0.683  0.058  0.853
S  0.693  0.559  0.286
S  0.723  0.018  0.450
S  0.728  0.510  0.883
S  0.772  0.474  0.489
S  0.772  0.989  0.054
S  0.805  0.936  0.651
S  0.814  0.449  0.080
S  0.847  0.906  0.250
S  0.848  0.389  0.685
S  0.891  0.861  0.851
S  0.901  0.364  0.297
S  0.925  0.819  0.452
S  0.931  0.313  0.882
S  0.962  0.779  0.049
S  0.973  0.274  0.489

Computed theoretical density (kg/m³) in order:
8799 3687 8220 2068 2288 6279 3155 4268 7172
Computed energy (Ry per atom) in order:
-0.3241 -0.5145 -0.5706 -0.2105 -0.2213 -0.4049 -0.5093 -0.5211 -0.5818